No. 1
The following is a PBE-GGA calculation of Ba2YCu2F11 after structural relaxation, from the Materials Project database.

The structure in POSCAR format:
```
Ba2YCu2F11
1.0
-3.1721 7.0131 1.4719
-0.3380 -3.0148 -7.2256
-12.2125 -6.1853 3.1520
F Y Cu Ba
33 3 6 6
Cartesian
-12.2968 -5.7439 -2.7179 F
-7.0119 0.0554 -4.8036 F
-14.1793 -1.0164 1.3356 F
-9.0746 -1.6131 -3.7679 F
-3.3218 0.4594 -6.0716 F
-12.1596 -2.0676 -0.6281 F
-10.8270 -7.6388 -3.9066 F
-9.3725 -0.8016 -0.4878 F
-5.2741 2.1142 -4.9913 F
-4.6438 0.0884 -3.3595 F
-11.7331 -4.7910 0.5645 F
-7.1686 -0.2170 1.4721 F
-7.5816 -3.8318 -1.5659 F
-3.2630 -2.8546 -4.5565 F
-0.6242 -2.2448 -5.4373 F
-6.6509 -5.2285 -3.6913 F
-10.3158 -3.8385 -1.8758 F
-6.6993 -0.9635 -1.0812 F
-2.3710 2.5413 -4.0521 F
-7.0250 1.3972 -2.3215 F
-12.9690 -3.1830 -3.2875 F
-6.1700 -2.1989 -3.4645 F
-9.2357 -3.4233 0.6230 F
-5.0161 1.7449 0.5191 F
-1.4576 1.9801 -0.4756 F
-1.8495 -0.3165 -3.8998 F
-6.5690 -3.0247 0.7765 F
-4.3178 -2.8576 -1.3203 F
-3.1522 -0.1895 -1.1162 F
-9.4581 -4.9292 -4.4326 F
-9.4904 -6.4456 -1.7838 F
-4.7183 4.5014 -0.6441 F
-11.1647 1.0676 1.8615 F
-12.5360 -4.1116 -1.3247 Y
-3.4173 -1.5994 -2.8026 Y
-8.0521 -3.5147 -3.6494 Y
-14.1938 -0.6540 -0.5378 Cu
-6.7823 -0.3949 -2.9084 Cu
-4.9130 3.3517 1.5432 Cu
-9.2681 -4.9496 -0.6085 Cu
-1.9270 -0.8281 -5.8157 Cu
-7.9815 -2.0214 -0.0204 Cu
-3.1539 6.5011 0.6729 Ba
-11.2963 -0.4873 -2.8502 Ba
-4.5237 -1.2279 1.0680 Ba
-11.6089 -1.9301 1.9769 Ba
-4.0325 2.3345 -2.0379 Ba
-8.5230 1.7527 0.2913 Ba
```

Calculated values
- total energy (eV/cell) = -262.7
- space group = P3_2, No. 145
- total magnetic moment (μB/f.u.) = 2.0

***

No. 2
The following is a PBE-GGA calculation of Ba2ZnCu3F14 after structural relaxation, from the Materials Project database.

The structure in POSCAR format:
```
Ba2ZnCu3F14
1.0
2.6428 6.9154 0.0000
-2.6428 6.9154 0.0000
0.0000 0.3386 14.5586
F Cu Ba Zn
28 6 4 2
Cartesian
1.0082 5.5797 11.4954 F
1.5679 9.2548 3.2794 F
-0.4625 10.6837 13.1567 F
2.1496 6.8606 2.3414 F
-2.1496 7.0299 9.6206 F
-1.0082 8.5896 3.0632 F
0.2990 7.9173 12.7700 F
-1.5679 4.9145 11.2792 F
1.5253 6.1442 14.2905 F
0.4625 10.5144 5.8774 F
-2.1496 7.3087 12.2172 F
-1.1739 8.8840 7.9097 F
-1.5679 9.4241 10.5587 F
1.5253 8.1944 7.5474 F
0.2990 6.4213 9.0679 F
0.4625 3.4857 1.4018 F
-0.2990 6.2521 1.7886 F
1.1739 8.7148 0.6304 F
-1.0082 5.4104 4.2161 F
2.1496 7.1395 4.9379 F
-1.5253 5.9749 7.0112 F
-1.1739 5.4546 13.9282 F
1.5679 4.7452 3.9999 F
-1.5253 8.0251 0.2681 F
-0.4625 3.6549 8.6811 F
1.1739 5.2853 6.6489 F
-0.2990 7.7480 5.4907 F
1.0082 8.7589 10.3425 F
0.0990 1.6948 1.8555 Cu
-0.0990 1.8641 9.1348 Cu
-0.0990 12.4745 12.7031 Cu
0.0000 6.9154 0.0000 Cu
0.0990 12.3053 5.4238 Cu
0.0000 7.0847 7.2793 Cu
-0.3814 11.3973 9.0715 Ba
0.3814 2.7720 5.4871 Ba
-0.3814 2.9413 12.7664 Ba
0.3814 11.2280 1.7922 Ba
0.4052 7.0000 3.6396 Zn
-0.4052 7.1693 10.9189 Zn
```

Calculated values
- total energy (eV/cell) = -180.2
- space group = C2/c, No. 15
- total magnetic moment (μB/f.u.) = 3.0

***

No. 3
The following is a PBE-GGA calculation of BaZnCuF7 after structural relaxation, from the Materials Project database.

The structure in POSCAR format:
```
BaZnCuF7
1.0
9.9796 0.0000 0.0000
0.0000 5.6148 0.0000
0.0000 0.5489 9.6140
F Ba Cu Zn
28 4 4 4
Cartesian
9.4927 2.3706 6.0522 F
0.4233 2.2359 1.1861 F
9.5567 5.0629 1.2908 F
5.4126 5.3373 6.0979 F
5.4131 3.6534 3.6210 F
5.5576 1.0878 8.4396 F
8.0660 4.4255 4.7866 F
2.2365 0.2599 2.3777 F
3.0762 1.4637 0.0204 F
7.9106 3.0876 2.4207 F
4.5665 2.5103 5.9931 F
4.5029 4.0675 8.3689 F
2.9209 2.8017 2.3863 F
2.7533 0.5344 7.1847 F
9.5563 3.9278 8.4280 F
5.4767 2.0962 1.2452 F
7.7430 5.9038 7.2363 F
6.9033 4.7000 9.5936 F
7.2263 5.6293 2.4293 F
4.4220 5.0759 1.1744 F
2.0689 3.0761 7.1934 F
9.4118 0.8134 3.6326 F
1.9136 1.7382 4.8274 F
7.0587 3.3620 7.2277 F
4.5669 0.8264 3.5162 F
0.4229 1.1008 8.3232 F
0.4869 3.7931 3.5618 F
0.5678 5.3503 5.9814 F
3.1725 4.4320 4.8022 Ba
6.8071 1.7317 4.8118 Ba
1.8173 4.7064 9.6092 Ba
8.1623 1.4573 0.0048 Ba
8.8536 4.6948 3.0027 Cu
1.1260 1.4689 6.6113 Cu
6.1158 4.9692 7.8097 Cu
3.8638 1.1945 1.8043 Cu
8.9681 4.2933 6.6260 Zn
1.0115 1.8704 2.9881 Zn
6.0013 4.0188 1.8189 Zn
3.9783 2.1449 7.7951 Zn
```

Calculated values
- total energy (eV/cell) = -179.5
- space group = P2_1/c, No. 14
- total magnetic moment (μB/f.u.) = 2.0

***

No. 4
The following is a PBE-GGA calculation of Ba6Fe14Cu11S27 after structural relaxation, from the Materials Project database.

The structure in POSCAR format:
```
Ba6Fe14Cu11S27
1.0
-9.6424 2.9449 -1.6015
-2.5166 -2.9565 9.5713
2.2822 9.5204 3.6314
S Cu Fe Ba
27 11 14 6
Cartesian
-5.6145 5.6936 11.4773 S
-0.8837 7.4046 4.6019 S
-5.4427 0.7586 1.5792 S
-7.1960 5.4650 5.4228 S
-8.5073 0.7663 3.5921 S
-8.9668 2.0902 7.0208 S
-6.3187 9.0622 3.6963 S
-6.7854 0.8298 9.6405 S
-4.4113 6.9581 6.6466 S
-3.7670 2.5323 10.9833 S
-3.5693 0.4308 7.8911 S
-10.4091 5.4305 7.4212 S
-7.7169 7.4035 9.0615 S
-2.1912 2.0934 2.5455 S
-10.3412 3.7985 4.1104 S
-2.3164 5.7521 9.9556 S
-2.5138 -2.9418 9.5751 S
0.5290 4.0665 4.1776 S
-5.5074 4.0919 8.0073 S
-9.1711 8.6506 5.8956 S
-5.4575 2.5915 4.9817 S
-6.1395 6.9806 0.6075 S
-6.7084 -0.7220 6.4151 S
-3.6402 -0.7154 4.4083 S
-7.5595 3.7365 1.6491 S
-4.3575 5.4398 3.5792 S
-2.6686 4.0766 6.1784 S
-1.5053 4.5723 8.1655 Cu
-2.4900 8.1658 6.0475 Cu
-2.4206 6.6999 3.0544 Cu
-5.7426 8.1603 8.1729 Cu
-5.0808 8.9580 5.6193 Cu
-1.4467 2.8171 4.5927 Cu
-5.0347 7.5019 2.6306 Cu
-4.8418 2.0056 8.9658 Cu
-8.3641 4.9271 3.4403 Cu
-3.1747 7.3851 8.5972 Cu
-8.4418 6.6911 7.0112 Cu
-4.9348 4.7984 5.8250 Fe
-9.0972 4.1871 6.0040 Fe
-4.1984 1.3128 3.4438 Fe
-4.2745 4.5651 9.9543 Fe
-3.1039 4.1830 2.0730 Fe
-2.0398 2.0158 7.1742 Fe
-0.7671 5.3533 5.5827 Fe
-4.8455 0.5277 5.9355 Fe
-6.6770 2.0746 3.0273 Fe
-7.4113 2.8381 8.6416 Fe
-7.3440 1.2823 5.5008 Fe
-5.5546 4.9507 1.6259 Fe
-7.8214 7.5107 4.4141 Fe
-6.8233 5.3372 9.5105 Fe
-8.1254 11.5598 4.9306 Ba
-0.6488 10.3907 3.1373 Ba
0.5189 7.4345 10.2885 Ba
0.6847 2.8849 1.1063 Ba
-0.9239 3.6877 12.1030 Ba
-4.4450 11.5426 2.5111 Ba
```

Calculated values
- total energy (eV/cell) = -325.0
- space group = P1, No. 1
- total magnetic moment (μB/f.u.) = 51.0

***

No. 5
The following is a PBE-GGA calculation of Ba2GdCu2Hg2O8 after structural relaxation, from the Materials Project database.

The structure in POSCAR format:
```
Ba2GdCu2Hg2O8
1.0
-1.9549 1.9549 14.7326
1.9549 -1.9549 14.7326
1.9549 1.9549 -14.7326
O Hg Ba Cu Gd
8 2 2 2 1
Cartesian
1.9549 0.0000 1.4718 O
1.9549 0.0000 13.2608 O
0.0000 0.0000 10.6070 O
0.0000 1.9549 13.2608 O
0.0000 0.0000 23.0451 O
0.0000 0.0000 6.4201 O
0.0000 1.9549 1.4718 O
0.0000 0.0000 18.8582 O
0.0000 0.0000 20.9682 Hg
0.0000 0.0000 8.4970 Hg
0.0000 0.0000 3.7430 Ba
0.0000 0.0000 25.7222 Ba
0.0000 0.0000 13.0683 Cu
0.0000 0.0000 16.3969 Cu
0.0000 0.0000 0.0000 Gd
```

Calculated values
- total energy (eV/cell) = -89.4
- space group = I4/mmm, No. 139
- total magnetic moment (μB/f.u.) = 7.1

***

No. 6
The following is a PBE-GGA calculation of Ba2GdMgCu3O7 after structural relaxation, from the Materials Project database.

The structure in POSCAR format:
```
Ba2GdMgCu3O7
1.0
3.7719 0.0000 0.0000
0.0000 4.1621 0.0000
0.0000 0.0000 13.1547
Ba O Gd Cu Mg
2 7 1 3 1
Cartesian
1.8859 2.3294 10.1492 Ba
1.8859 2.3294 3.0055 Ba
0.0000 3.9211 11.2545 O
1.8859 0.0858 5.0862 O
0.0000 2.1825 5.0789 O
0.0000 2.1825 8.0758 O
1.8859 0.0858 8.0685 O
0.0000 3.9211 1.9002 O
0.0000 1.7346 0.0000 O
1.8859 2.1715 6.5773 Gd
0.0000 0.1080 8.0463 Cu
0.0000 0.1080 5.1084 Cu
0.0000 3.6955 0.0000 Cu
1.8859 1.1581 0.0000 Mg
```

Calculated values
- total energy (eV/cell) = -90.1
- space group = Pmm2, No. 25
- total magnetic moment (μB/f.u.) = 7.0

***

> What is the total magnetic moment in the sixth record?

7.0 μB/f.u.

***

> total energy of number 1 (Ba2YCu2F11)?

-262.7 eV/cell

***

> Which of these has the lowest total energy?

Ba6Fe14Cu11S27